The following is a PBE with a Hubbard U calculation of a relaxed MgMnF4 crystal, from the Materials Project database.

a b c (Å): 5.167 5.167 6.303
angles (deg): 114.06 114.06 89.62
Sites, in units of the cell vectors:
Mg (0.000, 0.000, 0.000)
Mg (0.515, 0.515, 0.020)
Mn (0.263, 0.768, 0.521)
Mn (0.768, 0.263, 0.521)
F (0.144, 0.632, 0.773)
F (0.153, 0.153, 0.818)
F (0.339, 0.945, 0.265)
F (0.474, 0.474, 0.310)
F (0.632, 0.144, 0.773)
F (0.666, 0.666, 0.815)
F (0.853, 0.853, 0.303)
F (0.945, 0.339, 0.265)

## Properties
Space-group type: Cm, No. 8
Energy, eV per formula unit: -34.728
Formation energy from the elements, kJ/mol of formula units: -1913